[1]
K4MgZn4H16Br12O8 after structural relaxation. Source: Materials Project, functional PBE-GGA.

Computed properties:
Its space group is P1. For the raw total energy, the calculation gives -3.831 eV per atom. For the energy of formation from the pure elements, the calculation gives -1184 meV per atom.

Lattice parameters (Å, degrees): 7.044 12.732 13.811 89.28 128.79 88.64
Fractional coordinates of all 45 atoms:
K (0.282, 0.830, 0.002)
K (0.711, 0.326, 0.500)
K (0.733, 0.169, 0.009)
K (0.074, 0.671, 0.419)
Mg (0.712, 0.689, 0.658)
Zn (0.483, 0.946, 0.750)
Zn (0.506, 0.421, 0.767)
Zn (0.524, 0.071, 0.265)
Zn (0.426, 0.555, 0.208)
H (0.805, 0.266, 0.799)
H (0.240, 0.781, 0.718)
H (0.165, 0.725, 0.188)
H (0.817, 0.222, 0.298)
H (0.947, 0.335, 0.922)
H (0.062, 0.858, 0.597)
H (0.004, 0.658, 0.064)
H (0.967, 0.148, 0.423)
H (0.963, 0.172, 0.727)
H (0.179, 0.650, 0.795)
H (0.103, 0.870, 0.266)
H (0.917, 0.347, 0.212)
H (0.710, 0.134, 0.676)
H (0.456, 0.667, 0.866)
H (0.370, 0.827, 0.342)
H (0.643, 0.349, 0.154)
Br (0.298, 0.417, 0.547)
Br (0.710, 0.908, 0.971)
Br (0.639, 0.586, 0.426)
Br (0.310, 0.096, 0.046)
Br (0.252, 0.388, 0.822)
Br (0.764, 0.936, 0.705)
Br (0.658, 0.590, 0.138)
Br (0.277, 0.108, 0.326)
Br (0.253, 0.111, 0.675)
Br (0.752, 0.576, 0.869)
Br (0.713, 0.894, 0.339)
Br (0.255, 0.384, 0.160)
O (0.230, 0.829, 0.656)
O (0.789, 0.305, 0.857)
O (0.804, 0.179, 0.356)
O (0.169, 0.683, 0.128)
O (0.300, 0.706, 0.831)
O (0.800, 0.199, 0.695)
O (0.784, 0.301, 0.188)
O (0.202, 0.804, 0.299)

---

[2]
KH2OsBr4N after structural relaxation. Source: Materials Project, functional PBE-GGA.

Computed properties:
Its space group is Cmc2_1. For the raw total energy, the calculation gives -3.688 eV per atom. For the energy of formation from the pure elements, the calculation gives 51 meV per atom.

Lattice parameters (Å, degrees): 7.756 8.523 8.523 115.03 90.00 90.00
Fractional coordinates of all 18 atoms:
K (0.812, 0.332, 0.668)
K (0.312, 0.668, 0.332)
H (0.974, 0.541, 0.459)
H (0.474, 0.459, 0.541)
H (0.527, 0.857, 0.143)
H (0.027, 0.143, 0.857)
Os (0.781, 0.835, 0.165)
Os (0.281, 0.165, 0.835)
Br (0.689, 0.531, 0.095)
Br (0.189, 0.469, 0.905)
Br (0.189, 0.095, 0.531)
Br (0.689, 0.905, 0.469)
Br (0.731, 0.770, 0.854)
Br (0.231, 0.230, 0.146)
Br (0.231, 0.854, 0.770)
Br (0.731, 0.146, 0.230)
N (0.995, 0.822, 0.178)
N (0.495, 0.178, 0.822)

---

> Which formula does entry 2 have?

KH2OsBr4N

---

> What is the formula in the second record?

KH2OsBr4N

---

> The lowest energy of formation from the pure elements belongs to which entry?

K4MgZn4H16Br12O8

---

> Which value of raw total energy does entry 1 give?

-3.831 eV per atom